{
  "formula": "SmTiGe",
  "functional": "meta-GGA r2SCAN",
  "state": "optimized geometry",
  "cell": [[4.081, 0.000, 0.000], [0.000, 4.081, 0.000], [0.000, 0.000, 7.928]],
  "species": ["Sm", "Sm", "Ti", "Ti", "Ge", "Ge"],
  "fractional_positions": [[0.250, 0.250, 0.152], [0.750, 0.750, 0.848], [0.250, 0.750, 0.500], [0.750, 0.250, 0.500], [0.250, 0.250, 0.732], [0.750, 0.750, 0.268]],
  "formation_enthalpy_0k_ev_per_atom": -0.771,
  "m_tot_mub_per_fu": 0.45
}

{
  "formula": "Sm2Zn6Ge3",
  "functional": "meta-GGA r2SCAN",
  "state": "optimized geometry",
  "cell": [[7.564, 0.000, 0.000], [-3.782, 6.551, 0.000], [0.000, 0.000, 4.042]],
  "species": ["Sm", "Sm", "Zn", "Zn", "Zn", "Zn", "Zn", "Zn", "Ge", "Ge", "Ge"],
  "fractional_positions": [[0.333, 0.667, 0.000], [0.667, 0.333, 0.000], [0.000, 0.190, 0.000], [0.000, 0.713, 0.500], [0.190, 0.000, 0.000], [0.287, 0.287, 0.500], [0.713, 0.000, 0.500], [0.810, 0.810, 0.000], [0.000, 0.384, 0.500], [0.384, 0.000, 0.500], [0.616, 0.616, 0.500]],
  "formation_enthalpy_0k_ev_per_atom": -0.471,
  "m_tot_mub_per_fu": 0.00
}

{
  "formula": "TmSnGe",
  "functional": "meta-GGA r2SCAN",
  "state": "optimized geometry",
  "cell": [[2.096, -8.113, 0.000], [2.096, 8.113, 0.000], [0.000, 0.000, 4.030]],
  "species": ["Tm", "Tm", "Sn", "Sn", "Ge", "Ge"],
  "fractional_positions": [[0.095, 0.905, 0.750], [0.905, 0.095, 0.250], [0.256, 0.744, 0.250], [0.744, 0.256, 0.750], [0.448, 0.552, 0.750], [0.552, 0.448, 0.250]],
  "formation_enthalpy_0k_ev_per_atom": -0.629,
  "m_tot_mub_per_fu": 0.00
}

{
  "formula": "YSnGe",
  "functional": "meta-GGA r2SCAN",
  "state": "optimized geometry",
  "cell": [[2.115, -8.407, 0.000], [2.115, 8.407, 0.000], [0.000, 0.000, 4.032]],
  "species": ["Y", "Y", "Sn", "Sn", "Ge", "Ge"],
  "fractional_positions": [[0.096, 0.904, 0.750], [0.904, 0.096, 0.250], [0.259, 0.741, 0.250], [0.741, 0.259, 0.750], [0.450, 0.550, 0.750], [0.550, 0.450, 0.250]],
  "formation_enthalpy_0k_ev_per_atom": -0.681,
  "m_tot_mub_per_fu": 0.00
}

{
  "formula": "Yb2SnGe2",
  "functional": "meta-GGA r2SCAN",
  "state": "optimized geometry",
  "cell": [[7.358, 0.000, 0.000], [0.000, 7.358, 0.000], [0.000, 0.000, 4.066]],
  "species": ["Yb", "Yb", "Yb", "Yb", "Sn", "Sn", "Ge", "Ge", "Ge", "Ge"],
  "fractional_positions": [[0.178, 0.322, 0.000], [0.322, 0.822, 0.000], [0.678, 0.178, 0.000], [0.822, 0.678, 0.000], [0.000, 0.000, 0.500], [0.500, 0.500, 0.500], [0.122, 0.622, 0.500], [0.378, 0.122, 0.500], [0.622, 0.878, 0.500], [0.878, 0.378, 0.500]],
  "formation_enthalpy_0k_ev_per_atom": -0.687,
  "m_tot_mub_per_fu": 0.00
}

{
  "formula": "SrGe2",
  "functional": "meta-GGA r2SCAN",
  "state": "optimized geometry",
  "cell": [[8.779, 0.000, 0.000], [0.000, 6.591, 0.000], [0.000, 0.000, 11.244]],
  "species": ["Sr", "Sr", "Sr", "Sr", "Sr", "Sr", "Sr", "Sr", "Ge", "Ge", "Ge", "Ge", "Ge", "Ge", "Ge", "Ge", "Ge", "Ge", "Ge", "Ge", "Ge", "Ge", "Ge", "Ge"],
  "fractional_positions": [[0.015, 0.250, 0.196], [0.152, 0.750, 0.407], [0.348, 0.250, 0.907], [0.485, 0.750, 0.696], [0.515, 0.250, 0.304], [0.652, 0.750, 0.093], [0.848, 0.250, 0.593], [0.985, 0.750, 0.804], [0.064, 0.750, 0.090], [0.196, 0.058, 0.649], [0.196, 0.442, 0.649], [0.199, 0.250, 0.454], [0.301, 0.750, 0.954], [0.304, 0.558, 0.149], [0.304, 0.942, 0.149], [0.436, 0.250, 0.590], [0.564, 0.750, 0.410], [0.696, 0.058, 0.851], [0.696, 0.442, 0.851], [0.699, 0.250, 0.046], [0.801, 0.750, 0.546], [0.804, 0.558, 0.351], [0.804, 0.942, 0.351], [0.936, 0.250, 0.910]],
  "formation_enthalpy_0k_ev_per_atom": -0.543,
  "m_tot_mub_per_fu": 0.00
}

{
  "formula": "Sr5Ge3",
  "functional": "meta-GGA r2SCAN",
  "state": "optimized geometry",
  "cell": [[-4.073, 4.073, 7.923], [4.073, -4.073, 7.923], [4.073, 4.073, -7.923]],
  "species": ["Sr", "Sr", "Sr", "Sr", "Sr", "Sr", "Sr", "Sr", "Sr", "Sr", "Ge", "Ge", "Ge", "Ge", "Ge", "Ge"],
  "fractional_positions": [[0.000, 0.000, 0.000], [0.039, 0.539, 0.858], [0.181, 0.039, 0.500], [0.319, 0.819, 0.858], [0.461, 0.319, 0.500], [0.500, 0.500, 0.000], [0.539, 0.681, 0.500], [0.681, 0.181, 0.142], [0.819, 0.961, 0.500], [0.961, 0.461, 0.142], [0.113, 0.387, 0.500], [0.250, 0.250, 0.000], [0.387, 0.887, 0.274], [0.613, 0.113, 0.726], [0.750, 0.750, 0.000], [0.887, 0.613, 0.500]],
  "formation_enthalpy_0k_ev_per_atom": -0.636,
  "m_tot_mub_per_fu": 0.08
}

{
  "formula": "SrGe",
  "functional": "meta-GGA r2SCAN",
  "state": "optimized geometry",
  "cell": [[2.412, -5.691, 0.000], [2.412, 5.691, 0.000], [0.000, 0.000, 4.202]],
  "species": ["Sr", "Sr", "Ge", "Ge"],
  "fractional_positions": [[0.137, 0.863, 0.750], [0.863, 0.137, 0.250], [0.430, 0.570, 0.750], [0.570, 0.430, 0.250]],
  "formation_enthalpy_0k_ev_per_atom": -0.704,
  "m_tot_mub_per_fu": 0.00
}

{
  "formula": "SrGe2",
  "functional": "meta-GGA r2SCAN",
  "state": "optimized geometry",
  "cell": [[4.132, 0.000, 0.000], [-2.066, 3.578, 0.000], [0.000, 0.000, 5.148]],
  "species": ["Sr", "Ge", "Ge"],
  "fractional_positions": [[0.000, 0.000, 0.000], [0.333, 0.667, 0.405], [0.667, 0.333, 0.595]],
  "formation_enthalpy_0k_ev_per_atom": -0.558,
  "m_tot_mub_per_fu": 0.00
}

{
  "formula": "Sr2Ge",
  "functional": "meta-GGA r2SCAN",
  "state": "optimized geometry",
  "cell": [[8.139, 0.000, 0.000], [0.000, 5.182, 0.000], [0.000, 0.000, 9.585]],
  "species": ["Sr", "Sr", "Sr", "Sr", "Sr", "Sr", "Sr", "Sr", "Ge", "Ge", "Ge", "Ge"],
  "fractional_positions": [[0.016, 0.250, 0.174], [0.152, 0.250, 0.580], [0.348, 0.750, 0.080], [0.484, 0.750, 0.674], [0.516, 0.250, 0.326], [0.652, 0.250, 0.920], [0.848, 0.750, 0.420], [0.984, 0.750, 0.826], [0.247, 0.750, 0.401], [0.253, 0.250, 0.901], [0.747, 0.750, 0.099], [0.753, 0.250, 0.599]],
  "formation_enthalpy_0k_ev_per_atom": -0.620,
  "m_tot_mub_per_fu": 0.00
}

{
  "formula": "SrZn2Ge2",
  "functional": "meta-GGA r2SCAN",
  "state": "optimized geometry",
  "cell": [[-2.195, 2.195, 5.262], [2.195, -2.195, 5.262], [2.195, 2.195, -5.262]],
  "species": ["Sr", "Zn", "Zn", "Ge", "Ge"],
  "fractional_positions": [[0.000, 0.000, 0.000], [0.250, 0.750, 0.500], [0.750, 0.250, 0.500], [0.380, 0.380, 0.000], [0.620, 0.620, 0.000]],
  "formation_enthalpy_0k_ev_per_atom": -0.409,
  "m_tot_mub_per_fu": 0.00
}

{
  "formula": "SrZnGe",
  "functional": "meta-GGA r2SCAN",
  "state": "optimized geometry",
  "cell": [[4.289, 0.000, 0.000], [-2.145, 3.715, 0.000], [0.000, 0.000, 4.644]],
  "species": ["Sr", "Zn", "Ge"],
  "fractional_positions": [[0.000, 0.000, 0.000], [0.333, 0.667, 0.500], [0.667, 0.333, 0.500]],
  "formation_enthalpy_0k_ev_per_atom": -0.585,
  "m_tot_mub_per_fu": 0.05
}

{
  "formula": "Ta5Ge3",
  "functional": "meta-GGA r2SCAN",
  "state": "optimized geometry",
  "cell": [[-3.317, 3.317, 6.008], [3.317, -3.317, 6.008], [3.317, 3.317, -6.008]],
  "species": ["Ta", "Ta", "Ta", "Ta", "Ta", "Ta", "Ta", "Ta", "Ta", "Ta", "Ge", "Ge", "Ge", "Ge", "Ge", "Ge"],
  "fractional_positions": [[0.000, 0.000, 0.000], [0.007, 0.507, 0.822], [0.185, 0.007, 0.500], [0.315, 0.815, 0.822], [0.493, 0.315, 0.500], [0.500, 0.500, 0.000], [0.507, 0.685, 0.500], [0.685, 0.185, 0.178], [0.815, 0.993, 0.500], [0.993, 0.493, 0.178], [0.136, 0.364, 0.500], [0.250, 0.250, 0.000], [0.364, 0.864, 0.228], [0.636, 0.136, 0.772], [0.750, 0.750, 0.000], [0.864, 0.636, 0.500]],
  "formation_enthalpy_0k_ev_per_atom": -0.410,
  "m_tot_mub_per_fu": 0.00
}

{
  "formula": "Ta3Ge",
  "functional": "meta-GGA r2SCAN",
  "state": "optimized geometry",
  "cell": [[10.262, 0.000, 0.000], [0.000, 10.262, 0.000], [0.000, 0.000, 5.254]],
  "species": ["Ta", "Ta", "Ta", "Ta", "Ta", "Ta", "Ta", "Ta", "Ta", "Ta", "Ta", "Ta", "Ta", "Ta", "Ta", "Ta", "Ta", "Ta", "Ta", "Ta", "Ta", "Ta", "Ta", "Ta", "Ge", "Ge", "Ge", "Ge", "Ge", "Ge", "Ge", "Ge"],
  "fractional_positions": [[0.037, 0.562, 0.235], [0.062, 0.963, 0.735], [0.101, 0.232, 0.030], [0.151, 0.665, 0.716], [0.165, 0.849, 0.216], [0.232, 0.399, 0.470], [0.268, 0.101, 0.470], [0.335, 0.651, 0.216], [0.349, 0.835, 0.716], [0.399, 0.268, 0.030], [0.438, 0.537, 0.735], [0.463, 0.938, 0.235], [0.537, 0.062, 0.765], [0.562, 0.463, 0.265], [0.601, 0.732, 0.970], [0.651, 0.165, 0.284], [0.665, 0.349, 0.784], [0.732, 0.899, 0.530], [0.768, 0.601, 0.530], [0.835, 0.151, 0.784], [0.849, 0.335, 0.284], [0.899, 0.768, 0.970], [0.938, 0.037, 0.265], [0.963, 0.438, 0.765], [0.046, 0.221, 0.534], [0.221, 0.454, 0.966], [0.279, 0.046, 0.966], [0.454, 0.279, 0.534], [0.546, 0.721, 0.466], [0.721, 0.954, 0.034], [0.779, 0.546, 0.034], [0.954, 0.779, 0.466]],
  "formation_enthalpy_0k_ev_per_atom": -0.319,
  "m_tot_mub_per_fu": 0.00
}

{
  "formula": "Ta3Ge",
  "functional": "meta-GGA r2SCAN",
  "state": "optimized geometry",
  "cell": [[-5.180, 5.180, 2.581], [5.180, -5.180, 2.581], [5.180, 5.180, -2.581]],
  "species": ["Ta", "Ta", "Ta", "Ta", "Ta", "Ta", "Ta", "Ta", "Ta", "Ta", "Ta", "Ta", "Ge", "Ge", "Ge", "Ge"],
  "fractional_positions": [[0.078, 0.563, 0.683], [0.116, 0.245, 0.841], [0.179, 0.275, 0.474], [0.295, 0.821, 0.096], [0.404, 0.275, 0.159], [0.437, 0.119, 0.515], [0.605, 0.922, 0.485], [0.725, 0.199, 0.904], [0.725, 0.884, 0.129], [0.755, 0.596, 0.871], [0.801, 0.705, 0.526], [0.881, 0.395, 0.317], [0.210, 0.446, 0.182], [0.264, 0.027, 0.818], [0.554, 0.736, 0.764], [0.973, 0.790, 0.236]],
  "formation_enthalpy_0k_ev_per_atom": -0.300,
  "m_tot_mub_per_fu": 0.00
}

{
  "formula": "TaGe2",
  "functional": "meta-GGA r2SCAN",
  "state": "optimized geometry",
  "cell": [[4.975, 0.000, 0.000], [-2.487, 4.308, 0.000], [0.000, 0.000, 6.742]],
  "species": ["Ta", "Ta", "Ta", "Ge", "Ge", "Ge", "Ge", "Ge", "Ge"],
  "fractional_positions": [[0.000, 0.500, 0.167], [0.500, 0.000, 0.500], [0.500, 0.500, 0.833], [0.164, 0.328, 0.500], [0.164, 0.836, 0.833], [0.328, 0.164, 0.167], [0.672, 0.836, 0.167], [0.836, 0.164, 0.833], [0.836, 0.672, 0.500]],
  "formation_enthalpy_0k_ev_per_atom": -0.193,
  "m_tot_mub_per_fu": 0.00
}

{
  "formula": "Ta5Ge3",
  "functional": "meta-GGA r2SCAN",
  "state": "optimized geometry",
  "cell": [[-5.057, 5.057, 2.581], [5.057, -5.057, 2.581], [5.057, 5.057, -2.581]],
  "species": ["Ta", "Ta", "Ta", "Ta", "Ta", "Ta", "Ta", "Ta", "Ta", "Ta", "Ge", "Ge", "Ge", "Ge", "Ge", "Ge"],
  "fractional_positions": [[0.075, 0.777, 0.851], [0.223, 0.075, 0.298], [0.250, 0.750, 0.500], [0.277, 0.575, 0.851], [0.425, 0.277, 0.702], [0.575, 0.723, 0.298], [0.723, 0.425, 0.149], [0.750, 0.250, 0.500], [0.777, 0.925, 0.702], [0.925, 0.223, 0.149], [0.167, 0.333, 0.500], [0.250, 0.250, 0.000], [0.333, 0.833, 0.167], [0.667, 0.167, 0.833], [0.750, 0.750, 0.000], [0.833, 0.667, 0.500]],
  "formation_enthalpy_0k_ev_per_atom": -0.386,
  "m_tot_mub_per_fu": 0.00
}

{
  "formula": "Ta2V3Ge",
  "functional": "meta-GGA r2SCAN",
  "state": "optimized geometry",
  "cell": [[4.969, 0.000, 0.000], [-2.484, 4.303, 0.000], [0.000, 0.000, 8.387]],
  "species": ["Ta", "Ta", "Ta", "Ta", "V", "V", "V", "V", "V", "V", "Ge", "Ge"],
  "fractional_positions": [[0.333, 0.667, 0.062], [0.333, 0.667, 0.438], [0.667, 0.333, 0.562], [0.667, 0.333, 0.938], [0.173, 0.345, 0.750], [0.173, 0.827, 0.750], [0.345, 0.173, 0.250], [0.655, 0.827, 0.750], [0.827, 0.173, 0.250], [0.827, 0.655, 0.250], [0.000, 0.000, 0.000], [0.000, 0.000, 0.500]],
  "formation_enthalpy_0k_ev_per_atom": -0.276,
  "m_tot_mub_per_fu": 0.00
}

{
  "formula": "TbGe",
  "functional": "meta-GGA r2SCAN",
  "state": "optimized geometry",
  "cell": [[2.148, -5.367, 0.000], [2.148, 5.367, 0.000], [0.000, 0.000, 3.956]],
  "species": ["Tb", "Tb", "Ge", "Ge"],
  "fractional_positions": [[0.138, 0.862, 0.750], [0.862, 0.138, 0.250], [0.416, 0.584, 0.750], [0.584, 0.416, 0.250]],
  "formation_enthalpy_0k_ev_per_atom": -0.985,
  "m_tot_mub_per_fu": 0.00
}

{
  "formula": "Tb2Ti3Ge4",
  "functional": "meta-GGA r2SCAN",
  "state": "optimized geometry",
  "cell": [[7.007, 0.000, 0.000], [0.000, 13.484, 0.000], [0.000, 0.000, 7.181]],
  "species": ["Tb", "Tb", "Tb", "Tb", "Tb", "Tb", "Tb", "Tb", "Ti", "Ti", "Ti", "Ti", "Ti", "Ti", "Ti", "Ti", "Ti", "Ti", "Ti", "Ti", "Ge", "Ge", "Ge", "Ge", "Ge", "Ge", "Ge", "Ge", "Ge", "Ge", "Ge", "Ge", "Ge", "Ge", "Ge", "Ge"],
  "fractional_positions": [[0.004, 0.097, 0.174], [0.004, 0.403, 0.174], [0.496, 0.597, 0.674], [0.496, 0.903, 0.674], [0.504, 0.097, 0.326], [0.504, 0.403, 0.326], [0.996, 0.597, 0.826], [0.996, 0.903, 0.826], [0.158, 0.627, 0.330], [0.158, 0.873, 0.330], [0.170, 0.250, 0.511], [0.330, 0.750, 0.011], [0.342, 0.127, 0.830], [0.342, 0.373, 0.830], [0.658, 0.627, 0.170], [0.658, 0.873, 0.170], [0.670, 0.250, 0.989], [0.830, 0.750, 0.489], [0.842, 0.127, 0.670], [0.842, 0.373, 0.670], [0.040, 0.250, 0.868], [0.175, 0.042, 0.544], [0.175, 0.458, 0.544], [0.190, 0.750, 0.629], [0.310, 0.250, 0.129], [0.325, 0.542, 0.044], [0.325, 0.958, 0.044], [0.460, 0.750, 0.368], [0.540, 0.250, 0.632], [0.675, 0.042, 0.956], [0.675, 0.458, 0.956], [0.690, 0.750, 0.871], [0.810, 0.250, 0.371], [0.825, 0.542, 0.456], [0.825, 0.958, 0.456], [0.960, 0.750, 0.132]],
  "formation_enthalpy_0k_ev_per_atom": -0.884,
  "m_tot_mub_per_fu": 2.41
}